(1)
The following is a DFT calculation (PBE) of BaH2O3 after structural relaxation.

Results
Offset from the most stable computed form ... 0 meV/atom

Cell lengths 6.245, 4.010, 6.979 Å; angles 90.00, 109.22, 90.00 degrees
Space group P2_1/m (No. 11)
One atom of each set of equivalent atoms:
Ba (0.146, 0.250, 0.293) x2
H (0.266, 0.250, 0.837) x2
H (0.369, 0.750, 0.058) x2
O (0.169, 0.250, 0.694) x2
O (0.213, 0.750, 0.056) x2
O (0.350, 0.750, 0.617) x2


(2)
The following is a DFT calculation (PBE) of BaH16O10 after structural relaxation.

Results
Offset from the most stable computed form ... 0 meV/atom

Cell lengths 9.209, 9.212, 11.365 Å; angles 90.00, 90.02, 90.00 degrees
Space group C2/c (No. 15)
One atom of each set of equivalent atoms:
Ba (0.000, 0.002, 0.250) x4
H (0.059, 0.343, 0.144) x8
H (0.067, 0.339, 0.848) x8
H (0.094, 0.240, 0.962) x8
H (0.156, 0.439, 0.643) x8
H (0.162, 0.436, 0.348) x8
H (0.207, 0.253, 0.128) x8
H (0.241, 0.094, 0.538) x8
H (0.248, 0.292, 0.628) x8
O (0.004, 0.499, 0.816) x8
O (0.099, 0.245, 0.118) x8
O (0.104, 0.240, 0.875) x8
O (0.240, 0.103, 0.625) x8
O (0.245, 0.100, 0.381) x8


(3)
The following is a DFT calculation (PBE) of BaH16O10 after structural relaxation.

Results
Offset from the most stable computed form ... 24 meV/atom

Cell lengths 8.985, 9.146, 11.749 Å; angles 90.00, 93.30, 90.00 degrees
Space group Cc (No. 9)
One atom of each set of equivalent atoms:
Ba (0.000, 0.012, 0.000) x4
H (0.017, 0.244, 0.287) x4
H (0.047, 0.337, 0.400) x4
H (0.058, 0.332, 0.613) x4
H (0.085, 0.215, 0.713) x4
H (0.150, 0.449, 0.901) x4
H (0.168, 0.466, 0.120) x4
H (0.241, 0.219, 0.872) x4
H (0.244, 0.108, 0.219) x4
H (0.252, 0.459, 0.793) x4
H (0.279, 0.248, 0.366) x4
H (0.281, 0.344, 0.169) x4
H (0.313, 0.250, 0.647) x4
H (0.330, 0.072, 0.904) x4
H (0.342, 0.070, 0.115) x4
H (0.426, 0.154, 0.401) x4
H (0.453, 0.156, 0.617) x4
O (0.003, 0.495, 0.576) x4
O (0.075, 0.242, 0.362) x4
O (0.102, 0.231, 0.633) x4
O (0.229, 0.110, 0.874) x4
O (0.244, 0.115, 0.136) x4
O (0.246, 0.413, 0.869) x4
O (0.273, 0.451, 0.157) x4
O (0.389, 0.251, 0.367) x4
O (0.423, 0.255, 0.647) x4
O (0.495, 0.004, 0.949) x4


(4)
The following is a DFT calculation (PBE) of BaH8O5 after structural relaxation.

Cell lengths 7.627, 11.504, 6.020 Å; angles 90.00, 90.00, 90.00 degrees
Space group Pnma (No. 62)
One atom of each set of equivalent atoms:
Ba (0.044, 0.250, 0.079) x4
H (0.034, 0.528, 0.262) x8
H (0.039, 0.681, 0.398) x8
H (0.174, 0.084, 0.518) x8
H (0.196, 0.524, 0.832) x8
O (0.065, 0.082, 0.751) x8
O (0.095, 0.750, 0.477) x4
O (0.233, 0.096, 0.367) x8


Number 1: E_tot -5.05 eV/atom, E_form -8.82 eV/f.u.. Number 2: E_tot -5.06 eV/atom, E_form -37.74 eV/f.u.. Number 3: E_tot -5.03 eV/atom, E_form -37.09 eV/f.u.. Number 4: E_tot -5.17 eV/atom, E_form -21.98 eV/f.u..